(1)
Material: Na3ZnGaSiS2O12
Method: DFT, GGA-PBE
State: relaxed

ΔH_f (0 K)   -2.182 eV/atom
Space-group type   No. 9
Electronic total energy   -116.73 eV per formula unit

Lattice parameters (Å, degrees): 8.9448 8.9448 22.1061 90.11 90.11 60.07
Sites, in units of the cell vectors:
Na 0.1295 0.8705 0.5000
Na 0.1677 0.8067 0.8431
Na 0.1715 0.1737 0.0869
Na 0.1737 0.1715 0.5869
Na 0.1904 0.4721 0.6662
Na 0.2123 0.8427 0.1711
Na 0.4721 0.1904 0.1662
Na 0.4934 0.5188 0.2543
Na 0.5005 0.8699 0.0106
Na 0.5188 0.4934 0.7543
Na 0.5240 0.8034 0.3291
Na 0.8034 0.5240 0.8291
Na 0.8067 0.1677 0.3431
Na 0.8387 0.8494 0.4206
Na 0.8427 0.2123 0.6711
Na 0.8494 0.8387 0.9206
Na 0.8699 0.5005 0.5106
Na 0.8705 0.1295 0.0000
Zn 0.1456 0.1864 0.7364
Zn 0.1864 0.1456 0.2364
Zn 0.4964 0.4971 0.4027
Zn 0.4971 0.4964 0.9027
Zn 0.8277 0.8487 0.5693
Zn 0.8487 0.8277 0.0693
Ga 0.1481 0.1631 0.4327
Ga 0.1631 0.1481 0.9327
Ga 0.5055 0.5327 0.1018
Ga 0.5327 0.5055 0.6018
Ga 0.8204 0.8504 0.7674
Ga 0.8504 0.8204 0.2674
Si 0.1679 0.8617 0.3330
Si 0.2062 0.7973 0.9993
Si 0.5543 0.8321 0.1678
Si 0.7973 0.2062 0.4993
Si 0.8321 0.5543 0.6678
Si 0.8617 0.1679 0.8330
S 0.1357 0.5378 0.1682
S 0.1414 0.8296 0.6675
S 0.1703 0.4570 0.8357
S 0.2153 0.4947 0.5031
S 0.4570 0.1703 0.3357
S 0.4634 0.8856 0.8345
S 0.4947 0.2153 0.0031
S 0.4983 0.8022 0.4999
S 0.5378 0.1357 0.6682
S 0.8022 0.4983 0.9999
S 0.8296 0.1414 0.1675
S 0.8856 0.4634 0.3345
O 0.0044 0.3588 0.6703
O 0.0070 0.6300 0.8354
O 0.0091 0.8344 0.0071
O 0.0325 0.8637 0.6133
O 0.0365 0.6154 0.1134
O 0.0377 0.6477 0.5061
O 0.0584 0.6539 0.2223
O 0.0592 0.8019 0.7224
O 0.1236 0.9924 0.3930
O 0.1507 0.3631 0.8885
O 0.1541 0.3663 0.1764
O 0.1678 0.9786 0.6744
O 0.1919 0.3641 0.7784
O 0.1955 0.9939 0.9975
O 0.2005 0.3362 0.4976
O 0.2049 0.9427 0.2733
O 0.2935 0.6923 0.9381
O 0.2936 0.5274 0.4504
O 0.3098 0.6634 0.6613
O 0.3140 0.5173 0.1648
O 0.3149 0.4777 0.5599
O 0.3173 0.4875 0.8397
O 0.3313 0.7147 0.0602
O 0.3362 0.2005 0.9976
O 0.3404 0.9767 0.4963
O 0.3442 0.6779 0.3425
O 0.3555 0.9753 0.7823
O 0.3588 0.0044 0.1703
O 0.3631 0.1507 0.3885
O 0.3641 0.1919 0.2784
O 0.3663 0.1541 0.6764
O 0.3885 0.9837 0.8926
O 0.4610 0.7217 0.5539
O 0.4777 0.3149 0.0599
O 0.4807 0.7115 0.8372
O 0.4875 0.3173 0.3397
O 0.5173 0.3140 0.6648
O 0.5235 0.6995 0.4449
O 0.5274 0.2936 0.9504
O 0.5286 0.6589 0.1661
O 0.6154 0.0365 0.6134
O 0.6300 0.0070 0.3354
O 0.6378 0.8635 0.1078
O 0.6412 0.8618 0.8323
O 0.6477 0.0377 0.0061
O 0.6539 0.0584 0.7223
O 0.6551 0.8140 0.5076
O 0.6589 0.5286 0.6661
O 0.6634 0.3098 0.1613
O 0.6680 0.8117 0.2305
O 0.6779 0.3442 0.8425
O 0.6923 0.2935 0.4381
O 0.6995 0.5235 0.9449
O 0.7115 0.4807 0.3372
O 0.7147 0.3313 0.5602
O 0.7217 0.4610 0.0539
O 0.8019 0.0592 0.2224
O 0.8117 0.6680 0.7305
O 0.8140 0.6551 0.0076
O 0.8344 0.0091 0.5071
O 0.8618 0.6412 0.3323
O 0.8635 0.6378 0.6078
O 0.8631 0.9797 0.8258
O 0.8637 0.0325 0.1133
O 0.9427 0.2049 0.7733
O 0.9753 0.3555 0.2823
O 0.9767 0.3404 0.9963
O 0.9786 0.1678 0.1744
O 0.9797 0.8631 0.3258
O 0.9837 0.3885 0.3926
O 0.9924 0.1236 0.8930
O 0.9939 0.1955 0.4975

(2)
Material: AgB6Cl6
Method: DFT, GGA-PBE
State: relaxed

ΔH_f (0 K)   -0.954 eV/atom
Space-group type   No. 205
Electronic total energy   -62.71 eV per formula unit

Lattice parameters (Å, degrees): 12.6090 12.6090 12.6090 90.00 90.00 90.00
Sites, in units of the cell vectors:
Ag 0.1329 0.1329 0.1329
Ag 0.1329 0.3671 0.6329
Ag 0.3671 0.6329 0.1329
Ag 0.3671 0.8671 0.6329
Ag 0.6329 0.1329 0.3671
Ag 0.6329 0.3671 0.8671
Ag 0.8671 0.6329 0.3671
Ag 0.8671 0.8671 0.8671
B 0.0271 0.5304 0.8705
B 0.0271 0.9696 0.3705
B 0.0304 0.6295 0.9729
B 0.0304 0.8705 0.4729
B 0.0653 0.0931 0.4281
B 0.0653 0.4069 0.9281
B 0.0719 0.5653 0.0931
B 0.0719 0.9347 0.5931
B 0.0931 0.0719 0.5653
B 0.0931 0.4281 0.0653
B 0.1295 0.5271 0.9696
B 0.1295 0.9729 0.4696
B 0.3705 0.0271 0.9696
B 0.3705 0.4729 0.4696
B 0.4069 0.5719 0.5653
B 0.4069 0.9281 0.0653
B 0.4281 0.0653 0.0931
B 0.4281 0.4347 0.5931
B 0.4347 0.5931 0.4281
B 0.4347 0.9069 0.9281
B 0.4696 0.1295 0.9729
B 0.4696 0.3705 0.4729
B 0.4729 0.0304 0.8705
B 0.4729 0.4696 0.3705
B 0.5271 0.5304 0.6295
B 0.5271 0.9696 0.1295
B 0.5304 0.6295 0.5271
B 0.5304 0.8705 0.0271
B 0.5653 0.0931 0.0719
B 0.5653 0.4069 0.5719
B 0.5719 0.5653 0.4069
B 0.5719 0.9347 0.9069
B 0.5931 0.0719 0.9347
B 0.5931 0.4281 0.4347
B 0.6295 0.5271 0.5304
B 0.6295 0.9729 0.0304
B 0.8705 0.0271 0.5304
B 0.8705 0.4729 0.0304
B 0.9069 0.5719 0.9347
B 0.9069 0.9281 0.4347
B 0.9281 0.0653 0.4069
B 0.9281 0.4347 0.9069
B 0.9347 0.5931 0.0719
B 0.9347 0.9069 0.5719
B 0.9696 0.1295 0.5271
B 0.9696 0.3705 0.0271
B 0.9729 0.0304 0.6295
B 0.9729 0.4696 0.1295
Cl 0.0533 0.5570 0.7326
Cl 0.0533 0.9430 0.2326
Cl 0.0570 0.7326 0.4467
Cl 0.0570 0.7674 0.9467
Cl 0.1313 0.1934 0.3524
Cl 0.1313 0.3066 0.8524
Cl 0.1476 0.6313 0.1934
Cl 0.1476 0.8687 0.6934
Cl 0.1934 0.1476 0.6313
Cl 0.1934 0.3524 0.1313
Cl 0.2326 0.0533 0.9430
Cl 0.2326 0.4467 0.4430
Cl 0.2674 0.5533 0.9430
Cl 0.2674 0.9467 0.4430
Cl 0.3066 0.6476 0.6313
Cl 0.3066 0.8524 0.1313
Cl 0.3524 0.1313 0.1934
Cl 0.3524 0.3687 0.6934
Cl 0.3687 0.6934 0.3524
Cl 0.3687 0.8066 0.8524
Cl 0.4430 0.2326 0.4467
Cl 0.4430 0.2674 0.9467
Cl 0.4467 0.0570 0.7326
Cl 0.4467 0.4430 0.2326
Cl 0.5533 0.5570 0.7674
Cl 0.5533 0.9430 0.2674
Cl 0.5570 0.7326 0.0533
Cl 0.5570 0.7674 0.5533
Cl 0.6313 0.1934 0.1476
Cl 0.6313 0.3066 0.6476
Cl 0.6476 0.6313 0.3066
Cl 0.6476 0.8687 0.8066
Cl 0.6934 0.1476 0.8687
Cl 0.6934 0.3524 0.3687
Cl 0.7326 0.0533 0.5570
Cl 0.7326 0.4467 0.0570
Cl 0.7674 0.5533 0.5570
Cl 0.7674 0.9467 0.0570
Cl 0.8066 0.6476 0.8687
Cl 0.8066 0.8524 0.3687
Cl 0.8524 0.1313 0.3066
Cl 0.8524 0.3687 0.8066
Cl 0.8687 0.6934 0.1476
Cl 0.8687 0.8066 0.6476
Cl 0.9430 0.2326 0.0533
Cl 0.9430 0.2674 0.5533
Cl 0.9467 0.0570 0.7674
Cl 0.9467 0.4430 0.2674

(3)
Material: SnSe2
Method: DFT, GGA-PBE
State: relaxed

ΔH_f (0 K)   -0.654 eV/atom
Space-group type   No. 164
Electronic total energy   -12.02 eV per formula unit

Lattice parameters (Å, degrees): 3.8733 3.8733 6.9047 90.00 90.00 120.00
Sites, in units of the cell vectors:
Sn 0.0000 0.0000 0.0000
Se 0.3333 0.6667 0.2312
Se 0.6667 0.3333 0.7688

(4)
Material: LiAg2F4
Method: DFT, GGA-PBE
State: relaxed

ΔH_f (0 K)   -1.789 eV/atom
Space-group type   No. 227
Electronic total energy   -25.91 eV per formula unit

Lattice parameters (Å, degrees): 6.6200 6.6200 6.6200 60.00 60.00 60.00
Sites, in units of the cell vectors:
Li 0.1250 0.1250 0.1250
Li 0.8750 0.8750 0.8750
Ag 0.0000 0.5000 0.5000
Ag 0.5000 0.0000 0.5000
Ag 0.5000 0.5000 0.0000
Ag 0.5000 0.5000 0.5000
F 0.2403 0.7532 0.7532
F 0.2468 0.2468 0.2468
F 0.2468 0.2468 0.7597
F 0.2468 0.7597 0.2468
F 0.7532 0.2403 0.7532
F 0.7532 0.7532 0.2403
F 0.7532 0.7532 0.7532
F 0.7597 0.2468 0.2468

(5)
Material: U2Co3Ge
Method: DFT, GGA-PBE
State: relaxed

ΔH_f (0 K)   -0.370 eV/atom
Space-group type   No. 63
Electronic total energy   -50.75 eV per formula unit

Lattice parameters (Å, degrees): 5.1850 5.1850 7.5933 90.00 90.00 120.06
Sites, in units of the cell vectors:
U 0.1659 0.8341 0.5721
U 0.1659 0.8341 0.9279
U 0.8341 0.1659 0.0721
U 0.8341 0.1659 0.4279
Co 0.1587 0.3291 0.7500
Co 0.3291 0.1587 0.2500
Co 0.3293 0.6707 0.2500
Co 0.6707 0.3293 0.7500
Co 0.6709 0.8413 0.7500
Co 0.8413 0.6709 0.2500
Ge 0.5000 0.5000 0.0000
Ge 0.5000 0.5000 0.5000

(6)
Material: LiCu5F12
Method: DFT, GGA-PBE
State: relaxed

ΔH_f (0 K)   -1.960 eV/atom
Space-group type   No. 65
Electronic total energy   -75.11 eV per formula unit

Lattice parameters (Å, degrees): 4.7296 4.7296 9.1081 90.00 90.00 90.93
Sites, in units of the cell vectors:
Li 0.0000 0.0000 0.0000
Cu 0.0000 0.0000 0.3276
Cu 0.0000 0.0000 0.6724
Cu 0.5000 0.5000 0.1636
Cu 0.5000 0.5000 0.5000
Cu 0.5000 0.5000 0.8364
F 0.1917 0.1917 0.5000
F 0.1981 0.1981 0.1710
F 0.1981 0.1981 0.8290
F 0.3080 0.6920 0.3321
F 0.3080 0.6920 0.6679
F 0.3100 0.6900 0.0000
F 0.6900 0.3100 0.0000
F 0.6920 0.3080 0.3321
F 0.6920 0.3080 0.6679
F 0.8019 0.8019 0.1710
F 0.8019 0.8019 0.8290
F 0.8083 0.8083 0.5000

(7)
Material: Ba2EuBiO6
Method: DFT, GGA-PBE
State: relaxed

ΔH_f (0 K)   -2.600 eV/atom
Space-group type   No. 201
Electronic total energy   -69.56 eV per formula unit

Lattice parameters (Å, degrees): 8.8007 8.8007 8.8007 90.00 90.00 90.00
Sites, in units of the cell vectors:
Ba 0.2500 0.2500 0.2500
Ba 0.2500 0.2500 0.7500
Ba 0.2500 0.7500 0.2500
Ba 0.2500 0.7500 0.7500
Ba 0.7500 0.2500 0.2500
Ba 0.7500 0.2500 0.7500
Ba 0.7500 0.7500 0.2500
Ba 0.7500 0.7500 0.7500
Eu 0.0000 0.0000 0.0000
Eu 0.0000 0.5000 0.5000
Eu 0.5000 0.0000 0.5000
Eu 0.5000 0.5000 0.0000
Bi 0.0000 0.0000 0.5000
Bi 0.0000 0.5000 0.0000
Bi 0.5000 0.0000 0.0000
Bi 0.5000 0.5000 0.5000
O 0.0207 0.5230 0.7582
O 0.0207 0.9770 0.7418
O 0.0230 0.2418 0.5207
O 0.0230 0.2582 0.9793
O 0.2418 0.5207 0.0230
O 0.2418 0.9793 0.4770
O 0.2582 0.5207 0.4770
O 0.2582 0.9793 0.0230
O 0.4770 0.2418 0.9793
O 0.4770 0.2582 0.5207
O 0.4793 0.5230 0.7418
O 0.4793 0.9770 0.7582
O 0.5207 0.0230 0.2418
O 0.5207 0.4770 0.2582
O 0.5230 0.7418 0.4793
O 0.5230 0.7582 0.0207
O 0.7418 0.0207 0.9770
O 0.7418 0.4793 0.5230
O 0.7582 0.0207 0.5230
O 0.7582 0.4793 0.9770
O 0.9770 0.7418 0.0207
O 0.9770 0.7582 0.4793
O 0.9793 0.0230 0.2582
O 0.9793 0.4770 0.2418

(8)
Material: AgN
Method: DFT, GGA-PBE
State: relaxed

ΔH_f (0 K)   1.544 eV/atom
Space-group type   No. 187
Electronic total energy   -7.72 eV per formula unit

Lattice parameters (Å, degrees): 3.1538 3.1538 2.9395 90.00 90.00 120.00
Sites, in units of the cell vectors:
Ag 0.0000 0.0000 0.0000
N 0.3333 0.6667 0.5000

(9)
Material: CuTcBi
Method: DFT, GGA-PBE
State: relaxed

ΔH_f (0 K)   0.681 eV/atom
Space-group type   No. 216
Electronic total energy   -16.31 eV per formula unit

Lattice parameters (Å, degrees): 6.2463 6.2463 6.2463 90.00 90.00 90.00
Sites, in units of the cell vectors:
Cu 0.0000 0.0000 0.0000
Cu 0.0000 0.5000 0.5000
Cu 0.5000 0.0000 0.5000
Cu 0.5000 0.5000 0.0000
Tc 0.2500 0.2500 0.7500
Tc 0.2500 0.7500 0.2500
Tc 0.7500 0.2500 0.2500
Tc 0.7500 0.7500 0.7500
Bi 0.0000 0.0000 0.5000
Bi 0.0000 0.5000 0.0000
Bi 0.5000 0.0000 0.0000
Bi 0.5000 0.5000 0.5000

(10)
Material: Pr6Fe13Hg
Method: DFT, GGA-PBE
State: relaxed

ΔH_f (0 K)   -0.032 eV/atom
Space-group type   No. 140
Electronic total energy   -139.74 eV per formula unit

Lattice parameters (Å, degrees): 12.9712 12.9712 12.9712 143.75 143.75 52.20
Sites, in units of the cell vectors:
Pr 0.0233 0.5233 0.1747
Pr 0.1055 0.1055 0.0000
Pr 0.1514 0.9767 0.5000
Pr 0.3486 0.8486 0.8253
Pr 0.3945 0.3945 0.0000
Pr 0.4767 0.6514 0.5000
Pr 0.5233 0.3486 0.5000
Pr 0.6055 0.6055 0.0000
Pr 0.6514 0.1514 0.1747
Pr 0.8486 0.0233 0.5000
Pr 0.8945 0.8945 0.0000
Pr 0.9767 0.4767 0.8253
Fe 0.0000 0.5000 0.5000
Fe 0.0192 0.2928 0.5000
Fe 0.0666 0.2109 0.2774
Fe 0.1197 0.6197 0.8567
Fe 0.2072 0.4808 0.5000
Fe 0.2109 0.9334 0.1443
Fe 0.2370 0.7370 0.8567
Fe 0.2630 0.1197 0.5000
Fe 0.2891 0.4334 0.7226
Fe 0.2928 0.7928 0.2736
Fe 0.3803 0.2370 0.5000
Fe 0.4334 0.7109 0.1443
Fe 0.4808 0.9808 0.2736
Fe 0.5000 0.0000 0.5000
Fe 0.5192 0.0192 0.7264
Fe 0.5666 0.2891 0.8557
Fe 0.6197 0.7630 0.5000
Fe 0.7072 0.2072 0.7264
Fe 0.7109 0.5666 0.2774
Fe 0.7370 0.8803 0.5000
Fe 0.7630 0.2630 0.1433
Fe 0.7891 0.0666 0.8557
Fe 0.7928 0.5192 0.5000
Fe 0.8803 0.3803 0.1433
Fe 0.9334 0.7891 0.7226
Fe 0.9808 0.7072 0.5000
Hg 0.2500 0.2500 0.0000
Hg 0.7500 0.7500 0.0000

Question: ΔH_f (0 K) of number 4 (LiAg2F4)?
Answer: -1.789 eV/atom

Copy entry 6 word for word.
Material: LiCu5F12
Method: DFT, GGA-PBE
State: relaxed

ΔH_f (0 K)   -1.960 eV/atom
Space-group type   No. 65
Electronic total energy   -75.11 eV per formula unit

Lattice parameters (Å, degrees): 4.7296 4.7296 9.1081 90.00 90.00 90.93
Sites, in units of the cell vectors:
Li 0.0000 0.0000 0.0000
Cu 0.0000 0.0000 0.3276
Cu 0.0000 0.0000 0.6724
Cu 0.5000 0.5000 0.1636
Cu 0.5000 0.5000 0.5000
Cu 0.5000 0.5000 0.8364
F 0.1917 0.1917 0.5000
F 0.1981 0.1981 0.1710
F 0.1981 0.1981 0.8290
F 0.3080 0.6920 0.3321
F 0.3080 0.6920 0.6679
F 0.3100 0.6900 0.0000
F 0.6900 0.3100 0.0000
F 0.6920 0.3080 0.3321
F 0.6920 0.3080 0.6679
F 0.8019 0.8019 0.1710
F 0.8019 0.8019 0.8290
F 0.8083 0.8083 0.5000

Question: Which formula does entry 2 have?
Answer: AgB6Cl6